1.
Entry from the Materials Project: Sc2AlCd after structural relaxation (GGA-PBE).

Values from the calculation:
Crystal system: cubic
Energy in eV/atom: -4.694
Symmetry: Fm-3m (225)

a = 4.914 Å, b = 4.914 Å, c = 4.914 Å
α = 60.00°, β = 60.00°, γ = 60.00°
Fractional coordinates of all 4 atoms:
Sc1 0.250 0.250 0.250
Sc2 0.750 0.750 0.750
Al1 0.000 0.000 0.000
Cd1 0.500 0.500 0.500


2.
Entry from the Materials Project: Al2CdSe4 after structural relaxation (GGA-PBE).

Values from the calculation:
Largest piezoelectric modulus in C/m2: 0.15
Crystal system: tetragonal
Energy in eV/atom: -4.011
Symmetry: I-4 (82)

a = 6.848 Å, b = 6.848 Å, c = 6.848 Å
α = 129.16°, β = 129.16°, γ = 74.76°
Fractional coordinates of all 7 atoms:
Al1 0.000 0.000 0.000
Al2 0.750 0.250 0.500
Cd1 0.500 0.500 0.000
Se1 0.094 0.633 0.001
Se2 0.367 0.368 0.461
Se3 0.632 0.093 0.999
Se4 0.907 0.906 0.539


3.
Entry from the Materials Project: Al2CdSe4 after structural relaxation (GGA-PBE).

Values from the calculation:
Total magnetization in μB per cell: 0.000
Crystal system: cubic
Energy in eV/atom: -3.965
Symmetry: Fd-3m (227)

a = 7.757 Å, b = 7.757 Å, c = 7.757 Å
α = 60.00°, β = 60.00°, γ = 60.00°
Fractional coordinates of all 14 atoms:
Al1 0.000 0.000 0.000
Al2 0.000 0.000 0.500
Al3 0.000 0.500 0.000
Al4 0.500 0.000 0.000
Cd1 0.375 0.375 0.375
Cd2 0.625 0.625 0.625
Se1 0.208 0.764 0.764
Se2 0.236 0.236 0.236
Se3 0.236 0.236 0.792
Se4 0.236 0.792 0.236
Se5 0.764 0.208 0.764
Se6 0.764 0.764 0.208
Se7 0.764 0.764 0.764
Se8 0.792 0.236 0.236


4.
Entry from the Materials Project: Sm2AlCd after structural relaxation (GGA-PBE).

Values from the calculation:
Total magnetization in μB per cell: 0.000
Crystal system: cubic
Energy in eV/atom: -3.869
Symmetry: Fm-3m (225)

a = 5.317 Å, b = 5.317 Å, c = 5.317 Å
α = 60.00°, β = 60.00°, γ = 60.00°
Fractional coordinates of all 4 atoms:
Sm1 0.250 0.250 0.250
Sm2 0.750 0.750 0.750
Al1 0.000 0.000 0.000
Cd1 0.500 0.500 0.500


5.
Entry from the Materials Project: CeAl4 after structural relaxation (GGA-PBE).

Values from the calculation:
Total magnetization in μB per cell: 2.280
Crystal system: orthorhombic
Energy relative to the lowest polymorph listed for this composition in meV per atom: 3
Energy in eV/atom: -4.476
Symmetry: Imm2 (44)

a = 8.787 Å, b = 8.787 Å, c = 8.787 Å
α = 151.71°, β = 87.47°, γ = 99.42°
Fractional coordinates of all 15 atoms:
Ce1 0.000 0.000 0.000
Ce2 0.327 0.993 0.333
Ce3 0.660 0.993 0.667
Al1 0.050 0.387 0.663
Al2 0.074 0.245 0.829
Al3 0.245 0.745 0.500
Al4 0.279 0.609 0.670
Al5 0.380 0.380 0.000
Al6 0.416 0.245 0.171
Al7 0.587 0.750 0.837
Al8 0.601 0.601 0.000
Al9 0.724 0.387 0.337
Al10 0.739 0.239 0.500
Al11 0.912 0.750 0.163
Al12 0.939 0.609 0.330


6.
Entry from the Materials Project: CeAl4 after structural relaxation (GGA-PBE).

Values from the calculation:
Crystal system: tetragonal
Energy relative to the lowest polymorph listed for this composition in meV per atom: 0
Energy in eV/atom: -4.479
Symmetry: I4/mmm (139)

a = 6.420 Å, b = 6.420 Å, c = 6.420 Å
α = 141.47°, β = 141.47°, γ = 55.63°
Fractional coordinates of all 5 atoms:
Ce1 0.000 0.000 0.000
Al1 0.250 0.750 0.500
Al2 0.389 0.389 0.000
Al3 0.611 0.611 0.000
Al4 0.750 0.250 0.500